# Sr8In4Cu3N5 | Materials Project | PBE-GGA | optimized geometry
# Calculated volume in A^3/atom: 22.941
# Raw total energy in hartree per atom: -0.16283
# Crystal system: orthorhombic
# Formation energy in eV/atom: -0.60
data_Sr8In4Cu3N5
_chemical_formula_sum 'Sr8 In4 Cu3 N5'
_space_group_name_H-M_alt 'P 1'
_space_group_IT_number 1
_space_group_name_Hall 'P 1'
_cell_length_a 11.553
_cell_length_b 11.553
_cell_length_c 11.553
_cell_angle_alpha 160.77
_cell_angle_beta 114.69
_cell_angle_gamma 68.79
loop_
_atom_site_label
_atom_site_fract_x
_atom_site_fract_y
_atom_site_fract_z
Sr1 0.749 0.902 0.848
Sr2 0.251 0.098 0.152
Sr3 0.437 0.289 0.148
Sr4 0.946 0.098 0.848
Sr5 0.141 0.289 0.852
Sr6 0.859 0.711 0.148
Sr7 0.054 0.902 0.152
Sr8 0.563 0.711 0.852
N1 0.957 0.306 0.651
N2 0.000 0.000 0.000
N3 0.043 0.694 0.349
N4 0.654 0.306 0.349
N5 0.346 0.694 0.651
Cu1 0.000 0.500 0.500
Cu2 0.808 0.308 0.500
Cu3 0.192 0.692 0.500
In1 0.416 0.916 0.500
In2 0.352 0.500 0.852
In3 0.648 0.500 0.148
In4 0.584 0.084 0.500

=====

# NaIn10CuS16 | Materials Project | PBE-GGA | optimized geometry
# Calculated volume in A^3/atom: 23.649
# Raw total energy in hartree per atom: -0.15108
# Crystal system: tetragonal
# Formation energy in eV/atom: -0.86
data_NaIn10CuS16
_chemical_formula_sum 'Na1 In10 Cu1 S16'
_space_group_name_H-M_alt 'P 1'
_space_group_IT_number 1
_space_group_name_Hall 'P 1'
_cell_length_a 7.763
_cell_length_b 7.763
_cell_length_c 10.988
_cell_angle_alpha 90.00
_cell_angle_beta 90.00
_cell_angle_gamma 90.00
loop_
_atom_site_label
_atom_site_fract_x
_atom_site_fract_y
_atom_site_fract_z
In1 0.000 0.743 0.638
In2 0.257 0.000 0.362
In3 0.743 0.000 0.362
In4 0.500 0.232 0.125
In5 0.000 0.257 0.638
In6 0.500 0.768 0.125
In7 0.232 0.500 0.875
In8 0.000 0.500 0.248
In9 0.500 0.000 0.752
In10 0.768 0.500 0.875
S1 0.000 0.749 0.877
S2 0.773 0.500 0.641
S3 0.270 0.500 0.117
S4 0.000 0.251 0.877
S5 0.227 0.500 0.641
S6 0.500 0.270 0.883
S7 0.730 0.500 0.117
S8 0.233 0.000 0.614
S9 0.500 0.730 0.883
S10 0.000 0.233 0.386
S11 0.500 0.227 0.359
S12 0.500 0.773 0.359
S13 0.000 0.767 0.386
S14 0.251 0.000 0.123
S15 0.767 0.000 0.614
S16 0.749 0.000 0.123
Cu1 0.000 0.000 0.000
Na1 0.500 0.500 0.500